1.
Below is crystalline Li4V3P8O29 at its relaxed geometry, with properties calculated at the GGA+U level.

Distance to the lowest polymorph of the same formula ... 17 meV per atom
Space-group type ... P1 (1)
Corrected total energy (MP2020 scheme) ... -669.18 eV/cell
Calculated density ... 2.54 Mg/m³

Cell lengths 9.800, 9.804, 14.016 Å; angles 89.76, 89.76, 60.05 degrees
Positions (direct):
1 O 0.912 0.743 0.332
2 O 0.521 0.098 0.177
3 O 0.185 0.479 0.326
4 O 0.997 0.243 0.430
5 O 0.212 0.996 0.746
6 O 0.991 0.761 0.935
7 O 0.788 0.207 0.754
8 O 0.002 0.241 0.070
9 O 0.523 0.384 0.678
10 O 0.100 0.522 0.675
11 O 0.746 0.917 0.838
12 O 0.094 0.384 0.178
13 O 0.338 0.918 0.335
14 O 0.489 0.186 0.834
15 O 0.082 0.254 0.660
16 O 0.768 0.240 0.573
17 O 0.673 0.812 0.666
18 O 0.660 0.667 0.520
19 O 0.661 0.086 0.659
20 O 0.478 0.619 0.322
21 O 0.904 0.479 0.323
22 O 0.335 0.481 0.826
23 O 0.670 0.514 0.169
24 O 0.248 0.762 0.435
25 O 0.755 0.245 0.933
26 O 0.819 0.668 0.170
27 O 0.812 0.512 0.666
28 O 0.761 0.991 0.433
29 O 0.790 0.002 0.251
30 O 0.332 0.181 0.331
31 O 0.000 0.209 0.250
32 O 0.997 0.772 0.573
33 O 0.383 0.525 0.179
34 O 0.337 0.336 0.980
35 O 0.662 0.256 0.161
36 O 0.512 0.670 0.670
37 O 0.915 0.336 0.842
38 O 0.241 0.002 0.567
39 O 0.380 0.101 0.675
40 O 0.329 0.334 0.477
41 O 0.256 0.663 0.662
42 O 0.236 0.766 0.069
43 O 0.230 0.003 0.927
44 O 0.342 0.744 0.834
45 O 0.256 0.088 0.165
46 O 0.742 0.344 0.334
47 O 0.901 0.618 0.823
48 O 0.757 0.001 0.070
49 O 0.478 0.904 0.825
50 O 0.187 0.328 0.834
51 O 0.615 0.906 0.321
52 O 0.085 0.659 0.164
53 O 0.480 0.334 0.326
54 O 0.006 0.787 0.755
55 O 0.671 0.668 0.023
56 O 0.522 0.814 0.174
57 O 0.617 0.479 0.824
58 O 0.207 0.789 0.253
59 P 0.665 0.666 0.627
60 P 0.315 0.772 0.343
61 P 0.682 0.089 0.159
62 P 0.088 0.232 0.159
63 P 0.232 0.088 0.658
64 P 0.768 0.319 0.842
65 P 0.768 0.913 0.342
66 P 0.086 0.684 0.659
67 P 0.910 0.319 0.341
68 P 0.682 0.232 0.658
69 P 0.317 0.913 0.841
70 P 0.229 0.687 0.156
71 P 0.334 0.328 0.372
72 P 0.673 0.662 0.128
73 P 0.335 0.331 0.873
74 P 0.913 0.768 0.844
75 Li 0.098 0.223 0.938
76 Li 0.676 0.094 0.936
77 Li 0.902 0.325 0.562
78 Li 0.771 0.323 0.058
79 Li 0.321 0.771 0.563
80 Li 0.776 0.908 0.562
81 Li 0.913 0.770 0.058
82 Li 0.228 0.093 0.442
83 V 0.999 0.435 0.750
84 V 0.568 0.999 0.749
85 V 0.560 0.436 0.254
86 V 0.437 0.993 0.244
87 V 0.005 0.566 0.255
88 V 0.428 0.568 0.754

2.
Below is crystalline Rb2MoO2F4 at its relaxed geometry, with properties calculated at the GGA+U level.

Distance to the lowest polymorph of the same formula ... 122 meV per atom
Space-group type ... C2/c (15)
Corrected total energy (MP2020 scheme) ... -107.01 eV/cell
Calculated density ... 3.87 Mg/m³

Cell lengths 7.882, 7.882, 7.252 Å; angles 89.59, 89.59, 134.46 degrees
Positions (direct):
1 O 0.901 0.668 0.926
2 O 0.668 0.901 0.426
3 O 0.099 0.332 0.074
4 O 0.332 0.099 0.574
5 F 0.024 0.976 0.250
6 F 0.655 0.885 0.060
7 F 0.247 0.753 0.750
8 F 0.753 0.247 0.250
9 F 0.345 0.115 0.940
10 F 0.115 0.345 0.440
11 F 0.976 0.024 0.750
12 F 0.885 0.655 0.560
13 Mo 0.110 0.890 0.750
14 Mo 0.890 0.110 0.250
15 Rb 0.233 0.767 0.250
16 Rb 0.444 0.556 0.750
17 Rb 0.767 0.233 0.750
18 Rb 0.556 0.444 0.250

3.
Below is crystalline Li9Co7O16 at its relaxed geometry, with properties calculated at the GGA+U level.

Distance to the lowest polymorph of the same formula ... 36 meV per atom
Space-group type ... P-1 (2)
Corrected total energy (MP2020 scheme) ... -201.13 eV/cell
Calculated density ... 4.45 Mg/m³

Cell lengths 5.016, 6.462, 8.594 Å; angles 97.15, 94.98, 96.87 degrees
Positions (direct):
1 O 0.143 0.607 0.669
2 O 0.857 0.885 0.837
3 O 0.616 0.988 0.292
4 O 0.118 0.848 0.410
5 O 0.106 0.359 0.916
6 O 0.384 0.012 0.708
7 O 0.143 0.115 0.163
8 O 0.362 0.501 0.218
9 O 0.882 0.152 0.590
10 O 0.894 0.641 0.084
11 O 0.381 0.266 0.455
12 O 0.641 0.227 0.055
13 O 0.359 0.773 0.945
14 O 0.857 0.393 0.331
15 O 0.619 0.734 0.545
16 O 0.638 0.499 0.782
17 Co 0.001 0.126 0.374
18 Co 0.000 0.624 0.875
19 Co 0.500 0.744 0.755
20 Co 0.000 0.376 0.125
21 Co 0.500 0.000 0.500
22 Co 0.500 0.256 0.245
23 Co 0.999 0.874 0.626
24 Li 0.750 0.436 0.563
25 Li 0.752 0.194 0.817
26 Li 0.251 0.072 0.940
27 Li 0.500 0.500 0.000
28 Li 0.250 0.564 0.437
29 Li 0.749 0.928 0.060
30 Li 0.752 0.682 0.303
31 Li 0.248 0.318 0.697
32 Li 0.248 0.806 0.183